The following is a GGA+U calculation of a relaxed Li6MnV3P6O24 crystal, from the Materials Project.

**VASP energy**: -0.2602 Ha/atom
**Space-group type**: P1, No. 1
**E above lowest polymorph**: 1 meV/atom

Cell and atoms, written as POSCAR:
```
Li6MnV3P6O24
1.0
8.717 0.000 0.000
0.048 8.770 0.000
0.174 0.088 12.269
Li Mn V P O
12 2 6 12 48
Cartesian
0.000 0.000 0.000 Li
0.223 5.412 11.510 Li
1.509 7.084 6.650 Li
1.534 3.616 5.894 Li
2.569 4.189 0.771 Li
3.419 8.663 11.285 Li
4.451 8.027 6.119 Li
4.453 2.677 5.363 Li
5.733 0.951 0.528 Li
5.973 4.474 12.058 Li
7.013 3.834 6.890 Li
7.699 8.215 5.133 Li
2.958 2.146 7.786 Mn
2.878 1.437 1.604 Mn
3.085 5.892 10.457 V
3.005 6.484 4.288 V
7.255 5.924 1.599 V
7.353 6.607 7.714 V
7.332 2.194 4.314 V
7.422 1.595 10.440 V
0.512 4.065 9.011 P
1.216 8.431 9.153 P
1.667 7.038 1.105 P
1.697 0.855 4.701 P
4.303 2.738 10.965 P
4.269 5.243 7.288 P
4.783 4.016 2.874 P
5.483 8.416 3.034 P
6.068 0.992 7.268 P
6.168 7.245 10.884 P
8.586 5.350 4.779 P
8.532 2.782 1.142 P
0.109 7.089 1.085 O
0.172 1.009 4.960 O
0.290 0.348 10.225 O
0.417 7.434 8.271 O
1.307 5.057 9.884 O
1.387 3.368 7.923 O
1.342 2.631 0.897 O
1.427 5.296 4.818 O
1.795 0.621 8.113 O
1.968 1.000 3.193 O
2.033 5.938 0.040 O
2.124 8.172 5.150 O
2.100 8.432 0.595 O
2.338 7.704 9.932 O
2.263 6.643 2.440 O
2.483 1.923 5.502 O
3.497 6.289 6.415 O
3.713 2.286 9.656 O
3.655 3.325 2.099 O
3.869 4.165 11.401 O
3.921 1.669 12.064 O
3.872 3.783 6.870 O
3.921 5.483 8.756 O
4.156 4.982 3.903 O
4.502 0.925 7.231 O
4.647 7.093 11.124 O
4.594 7.735 4.101 O
4.648 0.641 2.139 O
5.572 3.009 3.755 O
5.686 4.692 1.811 O
5.792 5.403 7.054 O
5.861 2.790 10.990 O
6.127 7.446 2.027 O
6.521 7.006 9.413 O
6.562 8.701 11.302 O
6.462 2.057 6.184 O
6.564 8.343 6.797 O
6.561 0.368 3.811 O
6.661 1.406 8.593 O
6.942 6.196 11.748 O
7.757 1.725 0.280 O
7.998 5.763 3.453 O
8.110 4.783 8.217 O
8.133 3.937 5.250 O
8.210 6.436 5.857 O
8.144 4.234 0.716 O
8.179 2.566 2.612 O
8.568 3.105 10.012 O
```

---

The following is a GGA+U calculation of a relaxed Li2MnVP4O14 crystal, from the Materials Project.

**VASP energy**: -0.2645 Ha/atom
**Space-group type**: P2_1, No. 4
**E above lowest polymorph**: 12 meV/atom

Cell and atoms, written as POSCAR:
```
Li2MnVP4O14
1.0
4.863 0.000 0.000
0.000 8.296 0.000
-0.344 0.000 13.360
Li Mn V P O
4 2 2 8 28
Cartesian
0.274 0.000 5.517 Li
1.968 4.172 1.172 Li
2.551 0.024 12.188 Li
4.245 4.148 7.843 Li
0.346 5.295 5.136 Mn
4.173 1.147 8.224 Mn
1.901 1.175 1.514 V
2.619 5.323 11.846 V
0.126 3.549 10.604 P
0.532 6.819 0.156 P
1.736 2.630 6.569 P
1.796 7.671 9.428 P
2.723 3.523 3.933 P
2.783 6.778 6.791 P
3.988 2.671 13.204 P
4.393 7.697 2.757 P
0.107 6.595 1.694 O
0.086 2.847 9.257 O
0.439 0.642 2.757 O
0.347 8.011 9.054 O
0.738 2.652 0.698 O
0.793 1.437 6.803 O
1.056 3.981 6.713 O
1.238 8.177 0.039 O
1.139 5.645 13.249 O
1.491 6.731 5.946 O
1.537 3.873 11.053 O
1.816 4.763 3.903 O
1.851 6.939 10.766 O
2.169 2.444 5.014 O
2.350 6.592 8.347 O
2.669 2.791 2.594 O
2.703 0.615 9.458 O
2.983 8.021 2.307 O
3.029 2.583 7.414 O
3.380 1.497 0.111 O
3.281 4.029 13.321 O
3.464 8.129 6.647 O
3.727 5.585 6.557 O
3.781 6.801 12.662 O
4.173 3.863 4.306 O
4.080 4.790 10.603 O
4.434 6.995 4.104 O
4.412 2.447 11.666 O
```

---

The following is a GGA+U calculation of a relaxed Li3MnVP3O12 crystal, from the Materials Project.

**VASP energy**: -0.2581 Ha/atom
**Space-group type**: R3, No. 146
**E above lowest polymorph**: 31 meV/atom

Cell and atoms, written as POSCAR:
```
Li3MnVP3O12
1.0
4.242 2.449 7.572
-4.242 2.449 7.572
0.000 -4.898 7.572
Li Mn V P O
6 2 2 6 24
Cartesian
-2.555 -0.215 7.572 Li
-1.444 -2.800 12.879 Li
1.464 -2.106 7.572 Li
-1.703 2.651 12.879 Li
1.092 2.320 7.572 Li
3.147 0.149 12.879 Li
0.000 0.000 3.129 Mn
0.000 0.000 14.339 Mn
0.000 0.000 9.771 V
0.000 0.000 21.233 V
-1.236 -2.767 8.339 P
-2.470 -0.006 12.123 P
-1.778 2.454 8.339 P
1.240 -2.136 12.123 P
3.014 0.313 8.339 P
1.230 2.142 12.123 P
-1.636 0.376 4.422 O
-0.222 -3.159 7.178 O
-0.880 -3.453 9.636 O
-2.845 -1.456 12.536 O
-2.625 1.772 7.178 O
0.492 -1.605 4.422 O
-1.069 -1.213 8.472 O
-1.641 -0.035 10.830 O
-2.550 2.488 9.636 O
1.144 1.229 4.422 O
-0.516 1.533 8.472 O
-1.658 0.687 13.273 O
-1.385 -1.018 15.488 O
0.851 -1.404 10.830 O
0.234 -1.780 13.273 O
1.585 -0.319 8.472 O
0.790 1.439 10.830 O
2.847 1.387 7.178 O
2.684 -1.736 12.536 O
-0.189 1.708 15.488 O
0.161 3.192 12.536 O
1.574 -0.690 15.488 O
1.424 1.093 13.273 O
3.430 0.965 9.636 O
```

---

The following is a GGA+U calculation of a relaxed Li3MnVP3O12 crystal, from the Materials Project.

**VASP energy**: -0.2579 Ha/atom
**Space-group type**: P-1, No. 2
**E above lowest polymorph**: 38 meV/atom

Cell and atoms, written as POSCAR:
```
Li3MnVP3O12
1.0
8.549 0.000 0.000
-4.245 7.439 0.000
-4.169 -2.399 7.774
Li Mn V P O
6 2 2 6 24
Cartesian
-0.991 1.416 1.174 Li
-3.797 1.141 6.670 Li
-0.695 5.815 1.007 Li
0.830 -0.776 6.767 Li
3.932 3.898 1.104 Li
1.126 3.624 6.600 Li
-2.071 3.788 3.418 Mn
2.206 1.252 4.356 Mn
-2.039 -1.157 7.464 V
2.174 6.196 0.310 V
-3.376 6.523 1.925 P
-4.541 3.857 5.835 P
-0.829 1.579 5.836 P
0.964 3.461 1.938 P
4.675 1.182 1.939 P
3.511 -1.483 5.849 P
-5.797 2.965 5.783 O
-4.833 6.879 1.401 O
-3.210 4.985 1.948 O
-3.808 3.994 4.532 O
-2.343 6.994 0.778 O
-4.901 5.300 6.396 O
0.788 2.316 0.812 O
-1.874 0.530 6.399 O
-1.340 2.172 4.554 O
-3.601 3.158 6.950 O
1.153 -0.197 3.212 O
-0.423 4.127 2.008 O
0.558 0.913 5.766 O
-1.018 5.237 4.562 O
3.736 1.882 0.824 O
1.475 2.868 3.220 O
2.009 4.510 1.375 O
-0.653 2.724 6.962 O
5.036 -0.260 1.378 O
2.478 -1.954 6.996 O
3.943 1.046 3.242 O
3.345 0.055 5.826 O
4.968 -1.839 6.373 O
5.932 2.075 1.991 O
```